Li2VP2O7: relaxed, PBE with a Hubbard U.

ρ	2.46	Mg/m³
total moment	3.0	μB per formula unit
energy above the lowest structure with this stoichiometry	0.0435	eV per atom
energy relative to the elements	-2.63	eV per atom

Cell lengths 9.4839, 8.1700, 9.4868 Å; angles 71.30, 149.07, 119.09 degrees
Closest atoms and distances in Å follow each position.
Fractional positions:
1 Li 0.5052 0.6714 0.9516  4 O 1.93-2.02
2 Li 0.2799 0.8284 0.3337  4 O 1.93-2.02
3 Li 0.7200 0.1715 0.6663  4 O 1.93-2.02
4 Li 0.4947 0.3285 0.0485  4 O 1.93-2.02
5 V 0.0001 0.5000 0.0000  4 O 2.04-2.11
6 V 0.5001 0.0004 0.9999  4 O 2.04-2.11
7 P 0.1547 0.3915 0.4706  4 O 1.51-1.65
8 P 0.0790 0.1084 0.2631  4 O 1.51-1.65
9 P 0.9210 0.8916 0.7369  4 O 1.51-1.65
10 P 0.8453 0.6084 0.5294  4 O 1.51-1.65
11 O 0.0045 0.7643 0.9448  1 P 1.55
12 O 0.1809 0.7356 0.7408  1 P 1.55
13 O 0.2086 0.0517 0.8757  1 P 1.54
14 O 0.3677 0.4626 0.7578  1 P 1.51
15 O 0.1758 0.5516 0.3431  1 P 1.54
16 O 0.2658 0.2500 0.5158  2 P 1.65
17 O 0.7049 0.9627 0.5952  1 P 1.51
18 O 0.2952 0.0374 0.4049  1 P 1.51
19 O 0.7341 0.7499 0.4842  2 P 1.65
20 O 0.8241 0.4484 0.6569  1 P 1.54
21 O 0.6322 0.5373 0.2422  1 P 1.51
22 O 0.7914 0.9483 0.1243  1 P 1.54
23 O 0.8191 0.2644 0.2591  1 P 1.55
24 O 0.9954 0.2357 0.0552  1 P 1.55